No. 1
Here is a relaxed Mg6CrSi crystal from the Materials Project database. Energies are from PBE.

Lattice parameters (Å, degrees): 4.8352 6.2152 10.6180 90.00 90.00 90.00
With the nearest neighbours (Å) after each atom.
Positions (direct):
Mg  0.0000  0.2570  0.0879  2 Si 2.91-3.24, 2 Cr 3.00, 8 Mg 3.01-3.19
Mg  0.0000  0.7430  0.0879  2 Si 2.91-3.24, 2 Cr 3.00, 8 Mg 3.01-3.19
Mg  0.0000  0.5000  0.8322  10 Mg 3.00-3.11, 2 Si 3.11
Mg  0.5000  0.2444  0.9142  2 Cr 2.94-3.21, 2 Si 3.02, 8 Mg 3.02-3.18
Mg  0.5000  0.7556  0.9142  2 Cr 2.94-3.21, 2 Si 3.02, 8 Mg 3.02-3.18
Mg  0.5000  0.5000  0.6651  10 Mg 3.00-3.09, 2 Cr 3.11
Mg  0.0000  0.7570  0.5879  2 Si 2.91-3.24, 2 Cr 3.00, 8 Mg 3.01-3.19
Mg  0.0000  0.2430  0.5879  2 Si 2.91-3.24, 2 Cr 3.00, 8 Mg 3.01-3.19
Mg  0.0000  0.0000  0.3322  10 Mg 3.00-3.11, 2 Si 3.11
Mg  0.5000  0.7444  0.4142  2 Cr 2.94-3.21, 2 Si 3.02, 8 Mg 3.02-3.18
Mg  0.5000  0.2556  0.4142  2 Cr 2.94-3.21, 2 Si 3.02, 8 Mg 3.02-3.18
Mg  0.5000  0.0000  0.1651  10 Mg 3.00-3.09, 2 Cr 3.11
Cr  0.5000  0.5000  0.1767  2 Si 2.87, 10 Mg 2.94-3.21
Cr  0.5000  0.0000  0.6767  2 Si 2.87, 10 Mg 2.94-3.21
Si  0.0000  0.5000  0.3219  2 Cr 2.87, 8 Mg 2.91-3.11
Si  0.0000  0.0000  0.8219  2 Cr 2.87, 8 Mg 2.91-3.11

Results
distance to the lowest polymorph of the same formula	0.00	eV per formula unit

=====

No. 2
Here is a relaxed Na3Zr2SiSn2P5O24 crystal from the Materials Project database. Energies are from PBE.

Lattice parameters (Å, degrees): 8.8955 8.8713 23.0614 90.06 89.86 119.88
With the nearest neighbours (Å) after each atom.
Positions (direct):
Na  0.3701  0.0009  0.7482  5 O 2.39-2.64
Na  0.6629  0.9686  0.5865  5 O 2.34-2.59
Na  0.6697  0.6973  0.0813  4 O 2.32-2.52
Na  0.0175  0.0019  0.5004  6 O 2.45-2.73
Na  0.0101  0.0059  0.9978  6 O 2.51-2.72
Na  0.6801  0.3409  0.8341  6 O 2.51-2.71
Na  0.6668  0.3335  0.3335  6 O 2.54-2.60
Na  0.3161  0.6647  0.1675  6 O 2.51-2.75
Na  0.3262  0.6522  0.6668  6 O 2.60-2.68
Zr  0.9998  0.9997  0.3523  6 O 2.06-2.13
Zr  0.0068  0.0028  0.1467  6 O 2.05-2.15
Zr  0.3218  0.6666  0.0186  6 O 2.00-2.18
Zr  0.3280  0.6663  0.5199  6 O 2.04-2.16
Zr  0.3334  0.6666  0.3146  6 O 2.06-2.13
Zr  0.3406  0.6664  0.8148  6 O 2.04-2.17
Si  0.7129  0.0049  0.7483  4 O 1.62-1.66
Si  0.3725  0.0465  0.5847  4 O 1.62-1.65
Si  0.9531  0.6185  0.0839  4 O 1.62-1.65
Sn  0.9946  0.9998  0.8521  6 O 1.97-2.11
Sn  0.0015  0.9989  0.6474  6 O 2.00-2.13
Sn  0.6710  0.3360  0.6859  6 O 2.03-2.12
Sn  0.6698  0.3321  0.1865  6 O 1.97-2.10
Sn  0.6686  0.3339  0.9802  6 O 2.00-2.10
Sn  0.6610  0.3321  0.4810  6 O 1.98-2.09
P  0.2988  0.0057  0.2496  4 O 1.54
P  0.7062  0.7026  0.2486  4 O 1.55
P  0.9951  0.2924  0.2498  4 O 1.54-1.55
P  0.2890  0.2874  0.7492  4 O 1.53-1.55
P  0.9963  0.7082  0.7506  4 O 1.54-1.55
P  0.9544  0.3319  0.5838  4 O 1.54-1.56
P  0.6702  0.6232  0.5837  4 O 1.53-1.56
P  0.6657  0.0449  0.0832  4 O 1.53-1.55
P  0.3815  0.3334  0.0823  4 O 1.54-1.55
P  0.6319  0.6657  0.9188  4 O 1.54-1.55
P  0.0366  0.3687  0.9158  4 O 1.54-1.55
P  0.3327  0.9672  0.9149  4 O 1.55
P  0.6271  0.9643  0.4181  4 O 1.54-1.55
P  0.3381  0.3745  0.4172  4 O 1.54-1.55
P  0.0336  0.6599  0.4173  4 O 1.54-1.55
O  0.2098  0.0292  0.3034  1 P 1.54
O  0.8224  0.7965  0.3013  1 P 1.55
O  0.9753  0.1808  0.3036  1 P 1.54
O  0.2132  0.1676  0.8030  1 P 1.55
O  0.9669  0.7892  0.8054  1 P 1.54
O  0.8319  0.0371  0.8050  1 Si 1.62
O  0.7880  0.9701  0.6880  1 Si 1.64
O  0.1792  0.2082  0.6947  1 P 1.53
O  0.0403  0.8269  0.6968  1 P 1.55
O  0.7891  0.8083  0.1928  1 P 1.55
O  0.0183  0.2060  0.1954  1 P 1.54
O  0.1881  0.9810  0.1952  1 P 1.54
O  0.8796  0.3683  0.6388  1 P 1.54
O  0.4915  0.1211  0.6435  1 Si 1.64
O  0.6417  0.5148  0.6388  1 P 1.54
O  0.8733  0.5037  0.1420  1 Si 1.62
O  0.6281  0.1194  0.1378  1 P 1.53
O  0.4955  0.3688  0.1365  1 P 1.54
O  0.4569  0.2965  0.0277  1 P 1.54
O  0.8276  0.5418  0.0272  1 Si 1.63
O  0.6955  0.1546  0.0284  1 P 1.54
O  0.4598  0.1636  0.5273  1 Si 1.62
O  0.7048  0.5455  0.5293  1 P 1.53
O  0.8386  0.2970  0.5301  1 P 1.54
O  0.5485  0.6880  0.9742  1 P 1.54
O  0.1455  0.4582  0.9705  1 P 1.55
O  0.3085  0.8511  0.9683  1 P 1.55
O  0.5443  0.8585  0.4740  1 P 1.55
O  0.3155  0.4619  0.4715  1 P 1.54
O  0.1458  0.6855  0.4716  1 P 1.55
O  0.1230  0.6369  0.3636  1 P 1.54
O  0.5108  0.8710  0.3655  1 P 1.54
O  0.3589  0.4859  0.3633  1 P 1.54
O  0.1255  0.4802  0.8621  1 P 1.54
O  0.3565  0.8828  0.8595  1 P 1.55
O  0.5183  0.6479  0.8653  1 P 1.55
O  0.0160  0.8236  0.4111  1 P 1.54
O  0.8074  0.9806  0.4110  1 P 1.54
O  0.1765  0.1920  0.4109  1 P 1.55
O  0.0235  0.1880  0.9127  1 P 1.55
O  0.1680  0.9835  0.9104  1 P 1.55
O  0.8142  0.8291  0.9129  1 P 1.55
O  0.9619  0.1610  0.5889  1 P 1.56
O  0.1792  0.0237  0.5890  1 Si 1.63
O  0.8284  0.8105  0.5884  1 P 1.56
O  0.9672  0.8100  0.0895  1 Si 1.65
O  0.8279  0.0242  0.0898  1 P 1.55
O  0.1980  0.1760  0.0893  1 P 1.54
O  0.6844  0.1748  0.7458  1 Si 1.65
O  0.4717  0.3063  0.7435  1 P 1.55
O  0.8314  0.5298  0.7435  1 P 1.54
O  0.6870  0.5196  0.2459  1 P 1.55
O  0.8276  0.3043  0.2472  1 P 1.55
O  0.4787  0.1701  0.2445  1 P 1.54
O  0.6438  0.4972  0.9197  1 P 1.55
O  0.8535  0.3482  0.9206  1 P 1.55
O  0.4979  0.1470  0.9211  1 P 1.55
O  0.6452  0.1466  0.4216  1 P 1.55
O  0.5052  0.3619  0.4203  1 P 1.55
O  0.8540  0.4957  0.4231  1 P 1.54
O  0.3728  0.5031  0.0752  1 P 1.55
O  0.1469  0.6430  0.0777  1 Si 1.63
O  0.5095  0.8578  0.0759  1 P 1.55
O  0.3628  0.8561  0.5781  1 Si 1.65
O  0.5083  0.6453  0.5775  1 P 1.55
O  0.1383  0.4888  0.5771  1 P 1.54
O  0.3174  0.8426  0.2557  1 P 1.54
O  0.5257  0.6864  0.2558  1 P 1.55
O  0.1571  0.4750  0.2559  1 P 1.55
O  0.3073  0.4683  0.7572  1 P 1.54
O  0.1601  0.6905  0.7580  1 P 1.55
O  0.5152  0.8353  0.7554  1 Si 1.66

=====

No. 3
Here is a relaxed Na6ZnSi4Sn3S2O24 crystal from the Materials Project database. Energies are from PBE.

Lattice parameters (Å, degrees): 9.0999 9.0936 22.4516 90.48 89.98 120.09
With the nearest neighbours (Å) after each atom.
Positions (direct):
Na  0.9872  0.3528  0.7538  4 O 2.29-2.56
Na  0.3950  0.0225  0.7511  6 O 2.36-2.62
Na  0.3191  0.3348  0.5852  6 O 2.45-2.69
Na  0.0280  0.7023  0.5745  5 O 2.43-2.60
Na  0.6553  0.9622  0.5896  7 O 2.46-2.66
Na  0.3125  0.9751  0.0839  7 O 2.53-2.74
Na  0.6607  0.6838  0.0866  8 O 2.48-2.77
Na  0.0235  0.3354  0.0841  8 O 2.52-2.79
Na  0.3303  0.2953  0.9240  5 O 2.36-2.52
Na  0.9670  0.2914  0.4094  5 O 2.40-2.56
Na  0.3221  0.0332  0.4124  5 O 2.44-2.61
Na  0.7122  0.6797  0.4129  5 O 2.41-2.66
Na  0.0000  0.9932  0.4896  3 O 2.36-2.45
Na  0.9985  0.9972  0.0004  6 O 2.51-2.63
Na  0.6655  0.3200  0.8320  4 O 2.40-2.48
Na  0.6669  0.3342  0.3239  5 O 2.45-2.69
Na  0.3333  0.6670  0.1650  6 O 2.53-2.57
Na  0.3685  0.6736  0.6696  3 O 2.33-2.46
Zn  0.0011  0.9972  0.3562  6 O 2.03-2.21
Zn  0.6264  0.3185  0.6850  3 O 1.95-1.98
Zn  0.6631  0.3304  0.1660  3 O 1.91-1.93
Si  0.2963  0.3005  0.7511  4 O 1.61-1.68
Si  0.7044  0.9985  0.7499  4 O 1.63-1.67
Si  0.3686  0.0317  0.5849  4 O 1.61-1.67
Si  0.6678  0.6275  0.5845  4 O 1.59-1.67
Si  0.9541  0.6212  0.0857  4 O 1.60-1.67
Si  0.6649  0.0344  0.0866  4 O 1.60-1.66
Si  0.3759  0.3378  0.0829  4 O 1.60-1.68
Si  0.0351  0.3773  0.9153  4 O 1.63-1.66
Si  0.3318  0.9635  0.9155  4 O 1.63-1.67
Si  0.6294  0.9659  0.4167  4 O 1.62-1.65
Si  0.3330  0.3769  0.4163  4 O 1.62-1.66
Si  0.0379  0.6596  0.4178  4 O 1.62-1.65
Sn  0.0053  0.0134  0.8541  4 O 1.97-2.04
Sn  0.9960  0.9991  0.6505  5 O 2.01-2.14
Sn  0.0032  0.0008  0.1497  6 O 2.02-2.17
Sn  0.6720  0.3192  0.9839  5 O 2.01-2.10
Sn  0.6562  0.3371  0.4799  6 O 2.03-2.26
Sn  0.3236  0.6691  0.0184  5 O 2.00-2.07
Sn  0.3451  0.6748  0.5144  5 O 1.99-2.10
Sn  0.3332  0.6694  0.3176  6 O 1.99-2.21
Sn  0.3377  0.6704  0.8154  6 O 2.01-2.23
S  0.2943  0.9942  0.2527  4 O 1.46-1.53
S  0.6998  0.7057  0.2524  4 O 1.46-1.53
S  0.0066  0.3012  0.2525  4 O 1.46-1.53
S  0.9992  0.7057  0.7505  4 O 1.44-1.52
S  0.9608  0.3341  0.5846  4 O 1.45-1.52
S  0.6317  0.6677  0.9169  4 O 1.48-1.50
O  0.2038  0.0026  0.3057  1 S 1.47
O  0.7983  0.7968  0.3057  1 S 1.47
O  0.9996  0.2034  0.3054  1 S 1.47
O  0.2075  0.1747  0.8080  1 Si 1.64
O  0.9785  0.7923  0.8029  1 S 1.47
O  0.8281  0.0179  0.8055  1 Si 1.63
O  0.7790  0.9628  0.6869  1 Si 1.67
O  0.1739  0.2171  0.6900  1 Si 1.68
O  0.0298  0.8106  0.6944  1 S 1.52
O  0.7824  0.8077  0.1961  1 S 1.53
O  0.0264  0.2183  0.1956  1 S 1.53
O  0.1919  0.9725  0.1958  1 S 1.53
O  0.8843  0.3558  0.6384  1 S 1.45
O  0.4896  0.0991  0.6427  1 Si 1.61
O  0.6336  0.5028  0.6387  1 Si 1.59
O  0.8866  0.4999  0.1425  1 Si 1.60
O  0.6044  0.1027  0.1420  1 Si 1.60
O  0.4985  0.3896  0.1397  1 Si 1.60
O  0.4494  0.2914  0.0220  1 Si 1.66
O  0.8260  0.5443  0.0274  1 Si 1.65
O  0.7252  0.1597  0.0279  1 Si 1.65
O  0.4473  0.1538  0.5251  1 Si 1.67
O  0.7145  0.5585  0.5224  1 Si 1.67
O  0.8573  0.3092  0.5295  1 S 1.50
O  0.5577  0.6964  0.9715  1 S 1.48
O  0.1640  0.4602  0.9725  1 Si 1.64
O  0.3121  0.8571  0.9759  1 Si 1.63
O  0.5612  0.8529  0.4784  1 Si 1.65
O  0.2938  0.4515  0.4782  1 Si 1.66
O  0.1532  0.6967  0.4788  1 Si 1.65
O  0.1202  0.6112  0.3613  1 Si 1.64
O  0.4910  0.8835  0.3620  1 Si 1.64
O  0.3844  0.5122  0.3618  1 Si 1.64
O  0.1249  0.4851  0.8543  1 Si 1.65
O  0.3621  0.8803  0.8549  1 Si 1.64
O  0.5218  0.6398  0.8633  1 S 1.50
O  0.0182  0.8265  0.4122  1 Si 1.62
O  0.8151  0.9863  0.4089  1 Si 1.62
O  0.1686  0.1887  0.4107  1 Si 1.62
O  0.0234  0.1887  0.9146  1 Si 1.66
O  0.1559  0.9767  0.9121  1 Si 1.67
O  0.8032  0.8190  0.9105  1 S 1.48
O  0.9792  0.1773  0.5850  1 S 1.52
O  0.1792  0.0189  0.5906  1 Si 1.67
O  0.8375  0.8229  0.5879  1 Si 1.67
O  0.9787  0.8154  0.0922  1 Si 1.67
O  0.8351  0.0139  0.0946  1 Si 1.66
O  0.1840  0.1646  0.0907  1 Si 1.68
O  0.6993  0.1745  0.7483  1 Si 1.63
O  0.4792  0.3141  0.7506  1 Si 1.61
O  0.8575  0.5350  0.7447  1 S 1.44
O  0.6809  0.5366  0.2483  1 S 1.46
O  0.8555  0.3183  0.2487  1 S 1.46
O  0.4626  0.1454  0.2491  1 S 1.46
O  0.6405  0.5102  0.9203  1 S 1.48
O  0.8508  0.3656  0.9196  1 Si 1.63
O  0.4945  0.1604  0.9193  1 Si 1.66
O  0.6452  0.1535  0.4241  1 Si 1.64
O  0.5070  0.3633  0.4189  1 Si 1.65
O  0.8519  0.4848  0.4227  1 Si 1.65
O  0.3482  0.5025  0.0741  1 Si 1.65
O  0.1491  0.6532  0.0782  1 Si 1.66
O  0.5043  0.8407  0.0749  1 Si 1.65
O  0.3356  0.8355  0.5778  1 Si 1.66
O  0.4939  0.6444  0.5791  1 Si 1.67
O  0.1353  0.4865  0.5794  1 S 1.50
O  0.3037  0.8311  0.2520  1 S 1.53
O  0.5266  0.6956  0.2522  1 S 1.53
O  0.1696  0.4743  0.2520  1 S 1.53
O  0.2948  0.4820  0.7548  1 Si 1.66
O  0.1627  0.7006  0.7538  1 S 1.51
O  0.5092  0.8327  0.7542  1 Si 1.66

=====

No. 4
Here is a relaxed Ba2HoMgSbO6 crystal from the Materials Project database. Energies are from PBE.

Lattice parameters (Å, degrees): 7.2513 6.3168 6.3168 59.93 63.69 63.69
With the nearest neighbours (Å) after each atom.
Positions (direct):
Ba  0.8351  0.7218  0.7218  9 O 2.90-3.20
Ba  0.0487  0.3184  0.3184  3 O 2.49-2.50
Ho  0.0816  0.9728  0.9728  6 O 2.19-2.38
Mg  0.6505  0.1205  0.1205  3 O 1.92
Sb  0.4115  0.5287  0.5287  3 O 2.01
O  0.2191  0.7416  0.7416  1 Sb 2.01, 1 Ho 2.19
O  0.2328  0.7366  0.2831  1 Sb 2.01, 1 Ho 2.19
O  0.8064  0.2204  0.7648  1 Mg 1.92
O  0.2328  0.2831  0.7366  1 Sb 2.01, 1 Ho 2.19
O  0.8106  0.2162  0.2162  1 Mg 1.92
O  0.8064  0.7648  0.2204  1 Mg 1.92

Results
distance to the lowest polymorph of the same formula	1.57	eV per formula unit

=====

No. 5
Here is a relaxed BaMg6SnO8 crystal from the Materials Project database. Energies are from PBE.

Lattice parameters (Å, degrees): 9.2689 4.7536 4.7536 90.00 90.00 90.00
With the nearest neighbours (Å) after each atom.
Positions (direct):
Ba  0.5000  0.0000  0.0000  6 O 2.38-2.46
Mg  0.0000  0.5000  0.5000  6 O 2.27-2.38
Mg  0.5000  0.5000  0.5000  6 O 2.36-2.38
Mg  0.2421  0.0000  0.5000  6 O 2.24-2.39
Mg  0.7579  0.0000  0.5000  6 O 2.24-2.39
Mg  0.2421  0.5000  0.0000  6 O 2.24-2.39
Mg  0.7579  0.5000  0.0000  6 O 2.24-2.39
Sn  0.0000  0.0000  0.0000  6 O 2.17-2.38
O  0.2346  0.0000  0.0000  1 Sn 2.17, 4 Mg 2.38
O  0.7654  0.0000  0.0000  1 Sn 2.17, 4 Mg 2.38
O  0.2451  0.5000  0.5000  6 Mg 2.27-2.38
O  0.7549  0.5000  0.5000  6 Mg 2.27-2.38
O  0.0000  0.0000  0.5000  4 Mg 2.24-2.38, 2 Sn 2.38
O  0.5000  0.0000  0.5000  2 Ba 2.38, 4 Mg 2.38-2.39
O  0.0000  0.5000  0.0000  4 Mg 2.24-2.38, 2 Sn 2.38
O  0.5000  0.5000  0.0000  2 Ba 2.38, 4 Mg 2.38-2.39

Results
distance to the lowest polymorph of the same formula	1.81	eV per formula unit

=====

It is found that the mass density values, taken in the order of the records, are 2.35 3.33 3.47 5.26 4.20 Mg/m³.
It is found that the final energy values, taken in the order of the records, are -2.942 -7.276 -6.200 -6.277 -5.418 eV/atom.
It is found that the total magnetization values, taken in the order of the records, are 0.46 0.00 0.00 0.00 0.00 μB/atom.